[1]
{
  "formula": "CeDyFe4",
  "functional": "r²SCAN",
  "state": "relaxed",
  "cell": [[-3.668, 0.000, -3.668], [3.668, -3.668, 0.000], [-3.668, -3.668, 0.000]],
  "species": ["Fe", "Ce", "Fe", "Fe", "Fe", "Dy"],
  "fractional_positions": [[0.250, 0.874, 0.375], [0.500, 0.750, 0.750], [0.250, 0.375, 0.375], [0.750, 0.375, 0.375], [0.750, 0.375, 0.874], [0.000, 0.000, 0.000]],
  "delta_e_f_ev_per_atom": 0.040,
  "m_tot_mub_per_cell": 7.04,
  "crystal_system": "cubic",
  "spacegroup": "F-43m, No. 216"
}



[2]
{
  "formula": "ErGe2Ru2",
  "functional": "r²SCAN",
  "state": "relaxed",
  "cell": [[-3.096, -1.949, -2.120], [1.366, -3.734, 1.437], [-2.057, 3.265, 4.220]],
  "species": ["Ru", "Er", "Ru", "Ge", "Ge"],
  "fractional_positions": [[0.250, 0.750, 0.500], [0.000, 0.000, 0.000], [0.750, 0.250, 0.500], [0.370, 0.370, 0.740], [0.630, 0.630, 0.260]],
  "delta_e_f_ev_per_atom": -0.692,
  "m_tot_mub_per_cell": 0.00,
  "crystal_system": "tetragonal",
  "spacegroup": "I4/mmm, No. 139"
}



[3]
{
  "formula": "UPdPt4",
  "functional": "r²SCAN",
  "state": "relaxed",
  "cell": [[0.000, 3.747, 3.747], [3.747, 0.000, 3.747], [3.747, 3.747, 0.000]],
  "species": ["Pd", "Pt", "U", "Pt", "Pt", "Pt"],
  "fractional_positions": [[0.000, 0.000, 0.000], [0.625, 0.625, 0.625], [0.250, 0.250, 0.250], [0.625, 0.625, 0.124], [0.124, 0.625, 0.625], [0.625, 0.124, 0.625]],
  "delta_e_f_ev_per_atom": -0.655,
  "m_tot_mub_per_cell": 2.02,
  "crystal_system": "cubic",
  "spacegroup": "F-43m, No. 216"
}



[4]
{
  "formula": "Zr5GaPb3",
  "functional": "r²SCAN",
  "state": "relaxed",
  "cell": [[-6.841, 5.361, 1.357], [4.407, -3.326, 6.848], [3.664, 4.695, -0.078]],
  "species": ["Pb", "Pb", "Pb", "Zr", "Ga", "Zr", "Zr", "Pb", "Zr", "Ga", "Zr", "Pb", "Zr", "Pb", "Zr", "Zr", "Zr", "Zr"],
  "fractional_positions": [[0.611, 0.000, 0.750], [0.389, 0.000, 0.250], [0.000, 0.389, 0.250], [0.667, 0.333, 0.000], [0.000, 0.000, 0.000], [0.262, 0.000, 0.750], [0.738, 0.738, 0.750], [0.389, 0.389, 0.750], [0.000, 0.262, 0.750], [0.000, 0.000, 0.500], [0.333, 0.667, 0.000], [0.611, 0.611, 0.250], [0.333, 0.667, 0.500], [0.000, 0.611, 0.750], [0.738, 0.000, 0.250], [0.000, 0.738, 0.250], [0.262, 0.262, 0.250], [0.667, 0.333, 0.500]],
  "delta_e_f_ev_per_atom": -0.525,
  "m_tot_mub_per_cell": 0.00,
  "crystal_system": "hexagonal",
  "spacegroup": "P6_3/mcm, No. 193"
}



[5]
{
  "formula": "TbPaO4",
  "functional": "r²SCAN",
  "state": "relaxed",
  "cell": [[-2.689, 2.689, 5.363], [2.689, -2.689, 5.363], [2.689, 2.689, -5.363]],
  "species": ["Tb", "Pa", "Pa", "O", "Tb", "O", "O", "O", "O", "O", "O", "O"],
  "fractional_positions": [[0.000, 0.000, 0.000], [0.500, 0.500, 0.000], [0.250, 0.750, 0.500], [0.136, 0.625, 0.011], [0.750, 0.250, 0.500], [0.375, 0.386, 0.511], [0.875, 0.864, 0.489], [0.614, 0.125, 0.989], [0.136, 0.125, 0.511], [0.614, 0.625, 0.489], [0.375, 0.864, 0.989], [0.875, 0.386, 0.011]],
  "delta_e_f_ev_per_atom": -4.070,
  "m_tot_mub_per_cell": 0.00,
  "crystal_system": "tetragonal",
  "spacegroup": "I4_1/amd, No. 141"
}



[6]
{
  "formula": "K3Mn2F7",
  "functional": "r²SCAN",
  "state": "relaxed",
  "cell": [[-4.527, -9.770, 2.837], [-8.538, -7.124, -0.592], [7.743, 7.194, -3.505]],
  "species": ["F", "F", "F", "Mn", "F", "F", "K", "F", "K", "K", "Mn", "F"],
  "fractional_positions": [[0.805, 0.805, 0.000], [0.404, 0.904, 0.500], [0.000, 0.000, 0.000], [0.902, 0.902, 0.000], [0.904, 0.404, 0.500], [0.096, 0.596, 0.500], [0.500, 0.500, 0.000], [0.596, 0.096, 0.500], [0.315, 0.315, 0.000], [0.685, 0.685, 0.000], [0.098, 0.098, 0.000], [0.195, 0.195, 0.000]],
  "delta_e_f_ev_per_atom": -2.996,
  "m_tot_mub_per_cell": 10.00,
  "crystal_system": "tetragonal",
  "spacegroup": "I4/mmm, No. 139"
}